Entry 1:
# SrMg6Fe (PBE, relaxed)
data_SrMg6Fe
_symmetry_space_group_name_H-M 'A m m 2'
_symmetry_Int_Tables_number 38
_cell_length_a 5.011
_cell_length_b 6.392
_cell_length_c 12.227
_cell_angle_alpha 90.00
_cell_angle_beta 90.00
_cell_angle_gamma 90.00
loop_
_symmetry_equiv_pos_as_xyz
'x,y,z'
'-x,-y,z'
'-x,y,z'
'x,-y,z'
'x,y+1/2,z+1/2'
'-x,-y+1/2,z+1/2'
'-x,y+1/2,z+1/2'
'x,-y+1/2,z+1/2'
loop_
_atom_site_label
_atom_site_type_symbol
_atom_site_fract_x
_atom_site_fract_y
_atom_site_fract_z
Sr1 Sr 0.000 0.000 0.000
Mg1 Mg 0.000 0.000 0.468
Mg2 Mg 0.000 0.240 0.232
Mg3 Mg 0.500 0.000 0.631
Mg4 Mg 0.500 0.240 0.368
Fe1 Fe 0.500 0.000 0.175
# volume: 391.6 Å³ per cell
# excess energy over the best structure of this formula in the dataset: 0.000 eV per atom
# DFT total energy: -35.80 eV for the cell shown

Entry 2:
# NaCeTiNbO6F (PBE, relaxed)
data_NaCeTiNbO6F
_symmetry_space_group_name_H-M 'P 41 2 2'
_symmetry_Int_Tables_number 91
_cell_length_a 7.380
_cell_length_b 7.380
_cell_length_c 10.484
_cell_angle_alpha 90.00
_cell_angle_beta 90.00
_cell_angle_gamma 90.00
loop_
_symmetry_equiv_pos_as_xyz
'x,y,z'
'-y,x,z+1/4'
'-x,-y,z+1/2'
'y,-x,z+3/4'
'x,-y,-z+1/2'
'-y,-x,-z+1/4'
'-x,y,-z'
'y,x,-z+3/4'
loop_
_atom_site_label
_atom_site_type_symbol
_atom_site_fract_x
_atom_site_fract_y
_atom_site_fract_z
Na1 Na 0.000 0.228 0.000
Ce1 Ce 0.228 0.500 0.750
Ti1 Ti 0.264 0.500 0.250
Nb1 Nb 0.000 0.258 0.500
O1 O 0.056 0.449 0.368
O2 O 0.063 0.063 0.375
O3 O 0.251 0.274 0.572
O4 O 0.459 0.459 0.375
F1 F 0.238 0.238 0.875
# volume: 571.0 Å³ per cell
# excess energy over the best structure of this formula in the dataset: 0.000 eV per atom
# MP2020-corrected energy: -8.53 eV/atom
# DFT total energy: -356.86 eV for the cell shown

Entry 3:
# Cs2LiNbF6 (PBE, relaxed)
data_Cs2LiNbF6
_symmetry_space_group_name_H-M 'F m -3 m'
_symmetry_Int_Tables_number 225
_symmetry_space_group_name_Hall '-F 4 2 3'
_cell_length_a 8.821
_cell_length_b 8.821
_cell_length_c 8.821
_cell_angle_alpha 90.00
_cell_angle_beta 90.00
_cell_angle_gamma 90.00
loop_
_atom_site_label
_atom_site_type_symbol
_atom_site_fract_x
_atom_site_fract_y
_atom_site_fract_z
Cs1 Cs 0.250 0.250 0.250
Li1 Li 0.000 0.000 0.000
Nb1 Nb 0.000 0.000 0.500
F1 F 0.000 0.000 0.258
# volume: 686.3 Å³ per cell
# MP2020-corrected energy: -5.52 eV/atom
# DFT total energy: -209.80 eV for the cell shown

Entry 4:
# La4CuO8 (PBE, relaxed)
data_La4CuO8
_symmetry_space_group_name_H-M 'C m m m'
_symmetry_Int_Tables_number 65
_symmetry_space_group_name_Hall '-C 2 2'
_cell_length_a 5.288
_cell_length_b 13.062
_cell_length_c 5.277
_cell_angle_alpha 90.00
_cell_angle_beta 90.00
_cell_angle_gamma 90.00
loop_
_atom_site_label
_atom_site_type_symbol
_atom_site_fract_x
_atom_site_fract_y
_atom_site_fract_z
La1 La 0.000 0.134 0.000
La2 La 0.000 0.364 0.500
Cu1 Cu 0.000 0.500 0.000
O1 O 0.000 0.186 0.500
O2 O 0.000 0.319 0.000
O3 O 0.246 0.500 0.244
# volume: 364.4 Å³ per cell
# MP2020-corrected energy: -7.99 eV/atom
# DFT total energy: -196.70 eV for the cell shown

Number 1 is which compound? SrMg6Fe